Model 1:
VASP calculation (PBE) on a geometry-optimized Ba2TmMgNbO6 structure.

Structure (CIF):
```
data_Ba2TmMgNbO6
_chemical_formula_sum 'Ba4 Tm2 Mg2 Nb2 O12'
_cell_length_a 5.939
_cell_length_b 6.250
_cell_length_c 9.216
_cell_angle_alpha 90.00
_cell_angle_beta 90.00
_cell_angle_gamma 90.00
_symmetry_space_group_name_H-M 'I m m m'
_symmetry_Int_Tables_number 71
_symmetry_space_group_name_Hall '-I 2 2'
loop_
_atom_site_label
_atom_site_type_symbol
_atom_site_fract_x
_atom_site_fract_y
_atom_site_fract_z
Ba1 Ba 0.000 0.000 0.190
Tm1 Tm 0.000 0.500 0.000
Mg1 Mg 0.000 0.000 0.500
Nb1 Nb 0.000 0.500 0.500
O1 O 0.000 0.500 0.263
O2 O 0.232 0.237 0.500
```

Values from the calculation:
Its crystal system is orthorhombic.

=====

Model 2:
VASP calculation (PBE) on a geometry-optimized Ba2TmMgNbO6 structure.

Structure (CIF):
```
data_Ba2TmMgNbO6
_chemical_formula_sum 'Ba4 Tm2 Mg2 Nb2 O12'
_cell_length_a 10.300
_cell_length_b 5.945
_cell_length_c 6.759
_cell_angle_alpha 90.00
_cell_angle_beta 120.57
_cell_angle_gamma 90.00
_symmetry_space_group_name_H-M 'C 1 m 1'
_symmetry_Int_Tables_number 8
loop_
_symmetry_equiv_pos_as_xyz
'x,y,z'
'x,-y,z'
'x+1/2,y+1/2,z'
'x+1/2,-y+1/2,z'
loop_
_atom_site_label
_atom_site_type_symbol
_atom_site_fract_x
_atom_site_fract_y
_atom_site_fract_z
Ba1 Ba 0.000 0.000 0.000
Ba2 Ba 0.075 0.500 0.726
Tm1 Tm 0.279 0.500 0.337
Mg1 Mg 0.407 0.000 0.219
Nb1 Nb 0.252 0.000 0.757
O1 O 0.004 0.500 0.033
O2 O 0.029 0.000 0.579
O3 O 0.265 0.238 0.032
O4 O 0.276 0.247 0.580
```

Values from the calculation:
Its crystal system is monoclinic.

=====

Model 3:
VASP calculation (PBE) on a geometry-optimized Ba2TmMgNbO6 structure.

Structure (CIF):
```
data_Ba2TmMgNbO6
_chemical_formula_sum 'Ba4 Tm2 Mg2 Nb2 O12'
_cell_length_a 10.349
_cell_length_b 5.977
_cell_length_c 6.669
_cell_angle_alpha 90.00
_cell_angle_beta 121.10
_cell_angle_gamma 90.00
_symmetry_space_group_name_H-M 'C 1 m 1'
_symmetry_Int_Tables_number 8
loop_
_symmetry_equiv_pos_as_xyz
'x,y,z'
'x,-y,z'
'x+1/2,y+1/2,z'
'x+1/2,-y+1/2,z'
loop_
_atom_site_label
_atom_site_type_symbol
_atom_site_fract_x
_atom_site_fract_y
_atom_site_fract_z
Ba1 Ba 0.000 0.000 0.000
Ba2 Ba 0.037 0.500 0.611
Tm1 Tm 0.207 0.000 0.621
Mg1 Mg 0.367 0.000 0.100
Nb1 Nb 0.235 0.500 0.205
O1 O 0.219 0.255 0.403
O2 O 0.230 0.248 0.939
O3 O 0.465 0.500 0.405
O4 O 0.477 0.000 0.938
```

Values from the calculation:
Its crystal system is monoclinic.

=====

The energetic minimum among the shown structures is model 2; the next structure lies 18 meV/atom above.